(1)
PBE Lu6Ni2Sn, optimized geometry; space group = Immm; ΔE_f = -445.5 meV/atom; energy = -5.189 eV per atom; magnetization = 0.000 μB per atom
1.0
-4.564 4.706 4.973
4.564 -4.706 4.973
4.564 4.706 -4.973
Lu Ni Sn
12 4 2
Cartesian
4.564 2.762 -2.642 Lu
2.661 1.722 0.000 Lu
6.466 1.722 0.000 Lu
1.750 4.706 -1.733 Lu
2.814 0.000 3.241 Lu
0.000 1.944 2.331 Lu
4.564 2.762 2.642 Lu
1.750 4.706 1.733 Lu
2.814 0.000 6.706 Lu
-1.903 2.984 4.973 Lu
1.903 2.984 4.973 Lu
0.000 1.944 7.616 Lu
4.564 0.000 1.239 Ni
0.000 3.285 0.000 Ni
0.000 6.127 0.000 Ni
0.000 4.706 3.735 Ni
0.000 0.000 0.000 Sn
0.000 0.000 4.973 Sn

=====

(2)
PBE LuNi5Sn, optimized geometry; space group = Pnma; ΔE_f = -380.6 meV/atom; energy = -5.728 eV per atom
1.0
7.990 0.000 0.000
0.000 4.822 0.000
0.000 0.000 10.206
Lu Ni Sn
4 20 4
Cartesian
1.969 1.206 0.619 Lu
2.026 3.617 5.722 Lu
5.964 1.206 4.484 Lu
6.021 3.617 9.587 Lu
0.374 1.206 6.099 Ni
0.531 2.417 8.259 Ni
0.531 4.816 8.259 Ni
0.691 3.617 0.175 Ni
1.510 3.617 2.471 Ni
2.485 1.206 7.574 Ni
3.304 1.206 5.278 Ni
3.464 0.006 3.156 Ni
3.464 2.405 3.156 Ni
3.621 3.617 0.996 Ni
4.369 1.206 9.210 Ni
4.527 2.417 7.050 Ni
4.527 4.816 7.050 Ni
4.686 3.617 4.928 Ni
5.505 3.617 2.632 Ni
6.480 1.206 7.735 Ni
7.299 1.206 10.031 Ni
7.459 0.006 1.947 Ni
7.459 2.405 1.947 Ni
7.616 3.617 4.107 Ni
1.114 1.206 3.680 Sn
2.882 3.617 8.783 Sn
5.109 1.206 1.423 Sn
6.877 3.617 6.526 Sn

=====

> energy of number 2 (LuNi5Sn)?

-5.728 eV per atom